1.
DFT (PBE) results for an optimized crystal structure of CeInCuAg.

Geometry as POSCAR:
```
CeInCuAg
1.0
0.000 3.479 3.479
3.479 0.000 3.479
3.479 3.479 0.000
Ce In Cu Ag
1 1 1 1
Direct
0.000 0.000 0.000
0.500 0.500 0.500
0.250 0.250 0.250
0.750 0.750 0.750
```

calculated total energy: -4.136 eV/atom
ρ: 8.41 Mg/m³
space-group type: No. 216
spin magnetization: 0.187 μB per atom

---

2.
DFT (PBE) results for an optimized crystal structure of CeEuAg2.

Geometry as POSCAR:
```
CeEuAg2
1.0
0.000 3.972 3.972
3.972 0.000 3.972
3.972 3.972 0.000
Ce Eu Ag
1 1 2
Direct
0.500 0.500 0.500
0.000 0.000 0.000
0.750 0.750 0.750
0.250 0.250 0.250
```

calculated total energy: -5.577 eV/atom
ρ: 6.73 Mg/m³
space-group type: No. 225
spin magnetization: 2.119 μB per atom

---

3.
DFT (PBE) results for an optimized crystal structure of K2CeAgF6.

Geometry as POSCAR:
```
K2CeAgF6
1.0
6.678 0.000 0.000
3.339 5.783 0.000
3.339 1.928 5.452
K Ce Ag F
2 1 1 6
Direct
0.250 0.250 0.250
0.750 0.750 0.750
0.500 0.500 0.500
0.000 0.000 0.000
0.259 0.741 0.259
0.741 0.741 0.259
0.741 0.259 0.741
0.741 0.259 0.259
0.259 0.741 0.741
0.259 0.259 0.741
```

calculated total energy: -5.048 eV/atom
ρ: 3.47 Mg/m³
space-group type: No. 225
spin magnetization: 0.094 μB per atom

---

4.
DFT (PBE) results for an optimized crystal structure of CeAgGe.

Geometry as POSCAR:
```
CeAgGe
1.0
-2.287 -3.962 0.000
-2.287 3.962 0.000
0.000 0.000 -7.559
Ce Ag Ge
2 2 2
Direct
0.000 0.000 0.761
0.000 0.000 0.261
0.667 0.333 0.492
0.333 0.667 0.992
0.667 0.333 0.038
0.333 0.667 0.538
```

calculated total energy: -4.969 eV/atom
ρ: 7.77 Mg/m³
space-group type: No. 186
spin magnetization: 0.333 μB per atom

---

5.
DFT (PBE) results for an optimized crystal structure of Ce8Ag6Ge8O.

Geometry as POSCAR:
```
Ce8Ag6Ge8O
1.0
0.000 4.399 0.000
0.000 0.000 11.091
20.698 0.000 0.000
Ce Ag Ge O
16 12 16 2
Direct
0.250 0.706 0.349
0.250 0.794 0.849
0.750 0.289 0.651
0.750 0.211 0.151
0.250 0.132 0.895
0.250 0.368 0.395
0.750 0.867 0.104
0.750 0.633 0.604
0.250 0.131 0.535
0.250 0.369 0.035
0.750 0.871 0.468
0.750 0.629 0.968
0.250 0.047 0.713
0.250 0.453 0.213
0.750 0.958 0.284
0.750 0.542 0.784
0.250 0.654 0.095
0.250 0.846 0.595
0.750 0.348 0.905
0.750 0.152 0.405
0.250 0.333 0.782
0.250 0.167 0.282
0.750 0.670 0.221
0.750 0.830 0.721
0.250 0.056 0.045
0.250 0.444 0.545
0.750 0.939 0.953
0.750 0.561 0.453
0.250 0.015 0.177
0.250 0.485 0.677
0.750 0.979 0.824
0.750 0.521 0.324
0.250 0.495 0.891
0.250 0.005 0.391
0.750 0.521 0.107
0.750 0.979 0.607
0.250 0.798 0.211
0.250 0.702 0.711
0.750 0.201 0.789
0.750 0.299 0.289
0.250 0.818 0.997
0.250 0.682 0.497
0.750 0.180 0.002
0.750 0.320 0.502
0.250 0.199 0.639
0.250 0.301 0.139
```

calculated total energy: -5.379 eV/atom
ρ: 7.78 Mg/m³
space-group type: No. 26
spin magnetization: 0.293 μB per atom

---

6.
DFT (PBE) results for an optimized crystal structure of Ce3AgGeS7.

Geometry as POSCAR:
```
Ce3AgGeS7
1.0
5.192 -8.993 0.000
5.192 8.993 0.000
0.000 0.000 5.874
Ce Ag Ge S
6 2 2 14
Direct
0.129 0.360 0.254
0.871 0.640 0.754
0.640 0.769 0.254
0.231 0.871 0.254
0.769 0.129 0.754
0.360 0.231 0.754
0.000 0.000 0.311
0.000 0.000 0.811
0.333 0.667 0.673
0.667 0.333 0.173
0.333 0.667 0.049
0.667 0.333 0.549
0.415 0.522 0.516
0.585 0.478 0.016
0.478 0.893 0.516
0.107 0.585 0.516
0.893 0.415 0.016
0.522 0.107 0.016
0.096 0.268 0.775
0.904 0.732 0.275
0.732 0.829 0.775
0.171 0.904 0.775
0.829 0.096 0.275
0.268 0.171 0.275
```

calculated total energy: -5.871 eV/atom
ρ: 5.00 Mg/m³
space-group type: No. 173
spin magnetization: 0.250 μB per atom

---

7.
DFT (PBE) results for an optimized crystal structure of Ce2AgHg.

Geometry as POSCAR:
```
Ce2AgHg
1.0
-4.294 -3.082 -0.963
-3.095 -1.643 4.072
-4.943 2.017 0.600
Ce Ag Hg
2 1 1
Direct
0.750 0.750 0.750
0.250 0.250 0.250
0.500 0.500 0.500
0.000 0.000 0.000
```

calculated total energy: -3.914 eV/atom
ρ: 8.91 Mg/m³
space-group type: No. 225
spin magnetization: 0.667 μB per atom

---

8.
DFT (PBE) results for an optimized crystal structure of CeAgHg2.

Geometry as POSCAR:
```
CeAgHg2
1.0
-5.086 -0.620 0.429
-3.180 3.774 -1.441
-2.888 -0.543 -4.218
Ce Ag Hg
1 1 2
Direct
0.000 0.000 0.000
0.500 0.500 0.500
0.750 0.750 0.750
0.250 0.250 0.250
```

calculated total energy: -2.627 eV/atom
ρ: 11.22 Mg/m³
space-group type: No. 225

---

9.
DFT (PBE) results for an optimized crystal structure of K2CeAgI6.

Geometry as POSCAR:
```
K2CeAgI6
1.0
0.000 6.139 6.139
6.139 0.000 6.139
6.139 6.139 0.000
K Ce Ag I
2 1 1 6
Direct
0.750 0.750 0.750
0.250 0.250 0.250
0.500 0.500 0.500
0.000 0.000 0.000
0.754 0.246 0.246
0.246 0.246 0.754
0.246 0.754 0.754
0.246 0.754 0.246
0.754 0.246 0.754
0.754 0.754 0.246
```

calculated total energy: -3.146 eV/atom
ρ: 3.90 Mg/m³
space-group type: No. 225
spin magnetization: 0.100 μB per atom

---

10.
DFT (PBE) results for an optimized crystal structure of CeInAg2.

Geometry as POSCAR:
```
CeInAg2
1.0
0.000 3.571 3.571
3.571 0.000 3.571
3.571 3.571 0.000
Ce In Ag
1 1 2
Direct
0.500 0.500 0.500
0.000 0.000 0.000
0.750 0.750 0.750
0.250 0.250 0.250
```

calculated total energy: -3.863 eV/atom
ρ: 8.58 Mg/m³
space-group type: No. 225

---

11.
DFT (PBE) results for an optimized crystal structure of K2CeAg3Te4.

Geometry as POSCAR:
```
K2CeAg3Te4
1.0
4.680 0.000 0.000
0.000 15.515 0.000
0.000 0.000 17.343
K Ce Ag Te
8 4 12 16
Direct
0.750 0.101 0.918
0.250 0.656 0.116
0.250 0.601 0.582
0.250 0.899 0.082
0.250 0.844 0.616
0.750 0.399 0.418
0.750 0.156 0.384
0.750 0.344 0.884
0.250 0.772 0.357
0.250 0.728 0.857
0.750 0.228 0.643
0.750 0.272 0.143
0.750 0.570 0.968
0.750 0.902 0.777
0.250 0.098 0.223
0.250 0.402 0.723
0.750 0.598 0.277
0.250 0.070 0.532
0.250 0.453 0.227
0.750 0.547 0.773
0.250 0.430 0.032
0.250 0.047 0.727
0.750 0.953 0.273
0.750 0.930 0.468
0.750 0.777 0.227
0.750 0.750 0.482
0.250 0.939 0.862
0.250 0.984 0.376
0.250 0.223 0.773
0.250 0.561 0.362
0.250 0.250 0.018
0.750 0.016 0.624
0.750 0.439 0.638
0.750 0.061 0.138
0.250 0.277 0.273
0.250 0.250 0.518
0.250 0.516 0.876
0.750 0.723 0.727
0.750 0.750 0.982
0.750 0.484 0.124
```

calculated total energy: -3.688 eV/atom
ρ: 5.55 Mg/m³
space-group type: No. 62
spin magnetization: 0.098 μB per atom

---

12.
DFT (PBE) results for an optimized crystal structure of NaCeAgTe4.

Geometry as POSCAR:
```
NaCeAgTe4
1.0
-1.486 2.051 -3.666
-0.393 -3.940 -2.045
-19.158 -1.641 6.846
Na Ce Ag Te
2 2 2 8
Direct
0.000 0.500 0.137
0.500 0.000 0.863
0.000 0.500 0.604
0.500 0.000 0.396
0.000 0.000 0.000
0.500 0.500 0.000
0.000 0.000 0.277
0.500 0.500 0.723
0.000 0.500 0.442
0.500 0.000 0.558
0.000 0.000 0.723
0.500 0.500 0.277
0.000 0.500 0.909
0.500 0.000 0.091
```

calculated total energy: -4.030 eV/atom
ρ: 6.40 Mg/m³
space-group type: No. 129
spin magnetization: 0.093 μB per atom

---

13.
DFT (PBE) results for an optimized crystal structure of CeAgS2O9.

Geometry as POSCAR:
```
CeAgS2O9
1.0
1.834 6.727 -0.358
-6.690 -1.841 -0.777
-1.870 1.213 13.225
Ce Ag S O
3 3 6 27
Direct
0.601 0.601 0.000
0.000 0.399 0.667
0.399 0.000 0.333
0.468 0.000 0.833
0.532 0.532 0.500
0.000 0.468 0.167
0.024 0.455 0.908
0.431 0.976 0.574
0.545 0.569 0.241
0.976 0.431 0.426
0.455 0.024 0.092
0.569 0.545 0.759
0.188 0.423 0.963
0.235 0.812 0.630
0.577 0.765 0.297
0.812 0.235 0.370
0.423 0.188 0.037
0.765 0.577 0.703
0.886 0.491 0.981
0.605 0.114 0.648
0.509 0.395 0.314
0.114 0.605 0.352
0.491 0.886 0.019
0.395 0.509 0.686
0.136 0.643 0.833
0.507 0.864 0.500
0.357 0.493 0.167
0.864 0.507 0.500
0.643 0.136 0.167
0.493 0.357 0.833
0.879 0.259 0.843
0.381 0.121 0.510
0.741 0.619 0.176
0.121 0.381 0.490
0.259 0.879 0.157
0.619 0.741 0.824
0.864 0.864 0.000
0.000 0.136 0.667
0.136 0.000 0.333
```

calculated total energy: -6.262 eV/atom
ρ: 4.01 Mg/m³
space-group type: No. 152
spin magnetization: 0.078 μB per atom

---

14.
DFT (PBE) results for an optimized crystal structure of CeAgP2Se6.

Geometry as POSCAR:
```
CeAgP2Se6
1.0
-3.168 -6.489 2.030
5.821 -3.223 -1.217
8.365 -1.498 8.268
Ce Ag P Se
2 2 4 12
Direct
0.138 0.716 0.245
0.862 0.716 0.745
0.678 0.289 0.261
0.322 0.289 0.761
0.641 0.630 0.435
0.144 0.372 0.062
0.856 0.372 0.562
0.359 0.630 0.935
0.453 0.399 0.415
0.928 0.598 0.062
0.072 0.598 0.562
0.547 0.399 0.915
0.538 0.757 0.558
0.041 0.204 0.957
0.959 0.204 0.457
0.462 0.757 0.058
0.765 0.904 0.241
0.268 0.125 0.259
0.732 0.125 0.759
0.235 0.904 0.741
```

calculated total energy: -4.569 eV/atom
ρ: 5.15 Mg/m³
space-group type: No. 7
spin magnetization: 0.100 μB per atom

---

15.
DFT (PBE) results for an optimized crystal structure of CeZnAgP2.

Geometry as POSCAR:
```
CeZnAgP2
1.0
2.085 -3.612 0.000
2.085 3.612 0.000
0.000 0.000 6.742
Ce Zn Ag P
1 1 1 2
Direct
0.333 0.667 0.007
0.667 0.333 0.630
0.000 0.000 0.364
0.000 0.000 0.752
0.667 0.333 0.246
```

calculated total energy: -4.823 eV/atom
ρ: 6.14 Mg/m³
space-group type: No. 156
spin magnetization: 0.200 μB per atom

---

16.
DFT (PBE) results for an optimized crystal structure of Ce5AgPb3.

Geometry as POSCAR:
```
Ce5AgPb3
1.0
4.854 -8.408 0.000
4.854 8.408 0.000
0.000 0.000 6.620
Ce Ag Pb
10 2 6
Direct
0.667 0.333 0.500
0.333 0.667 0.500
0.333 0.667 0.000
0.667 0.333 0.000
0.717 0.717 0.250
0.283 0.000 0.250
0.000 0.283 0.250
0.283 0.283 0.750
0.717 0.000 0.750
0.000 0.717 0.750
0.000 0.000 0.500
0.000 0.000 0.000
0.372 0.372 0.250
0.628 0.000 0.250
0.000 0.628 0.250
0.628 0.628 0.750
0.372 0.000 0.750
0.000 0.372 0.750
```

calculated total energy: -5.213 eV/atom
ρ: 8.79 Mg/m³
space-group type: No. 193

---

17.
DFT (PBE) results for an optimized crystal structure of Ce2AgPb.

Geometry as POSCAR:
```
Ce2AgPb
1.0
2.632 3.279 3.469
-2.556 1.902 4.423
1.392 -1.820 4.946
Ce Ag Pb
2 1 1
Direct
0.250 0.250 0.250
0.750 0.750 0.750
0.000 0.000 0.000
0.500 0.500 0.500
```

calculated total energy: -4.839 eV/atom
ρ: 8.63 Mg/m³
space-group type: No. 225
spin magnetization: 0.754 μB per atom

---

18.
DFT (PBE) results for an optimized crystal structure of Ce5AgS8.

Geometry as POSCAR:
```
Ce5AgS8
1.0
-4.257 4.257 4.305
4.257 -4.257 4.305
4.257 4.257 -4.305
Ce Ag S
5 1 8
Direct
0.751 0.133 0.119
0.368 0.249 0.382
0.014 0.632 0.881
0.500 0.500 0.000
0.867 0.986 0.618
0.250 0.750 0.500
0.273 0.027 0.893
0.620 0.727 0.754
0.118 0.357 0.603
0.485 0.882 0.239
0.643 0.246 0.761
0.973 0.866 0.246
0.134 0.380 0.107
0.754 0.515 0.397
```

calculated total energy: -6.469 eV/atom
ρ: 5.67 Mg/m³
space-group type: No. 82
spin magnetization: 0.357 μB per atom

---

The records above give, respectively, formation energy values of -232 -113 -3078 -506 -784 -1647 -163 -284 -1360 -275 -934 -1034 -2001 -796 -653 -364 -236 -2071 meV/atom.